Computed, not measured: crystalline RbCaI3 at its relaxed geometry at the GGA-PBE level of DFT. Values from VASP.

Geometry as Quantum ESPRESSO input:
```
&SYSTEM
  ibrav = 0, nat = 20, ntyp = 3
/
ATOMIC_SPECIES
Rb 85.47 Rb.upf
Ca 40.08 Ca.upf
I 126.90 I.upf
ATOMIC_POSITIONS crystal
Rb 0.079 0.250 0.173
Rb 0.421 0.750 0.673
Rb 0.579 0.250 0.327
Rb 0.921 0.750 0.827
Ca 0.163 0.750 0.442
Ca 0.337 0.250 0.942
Ca 0.663 0.750 0.058
Ca 0.837 0.250 0.558
I 0.027 0.750 0.604
I 0.167 0.750 0.004
I 0.206 0.250 0.787
I 0.294 0.750 0.287
I 0.333 0.250 0.504
I 0.473 0.250 0.104
I 0.527 0.750 0.896
I 0.667 0.750 0.496
I 0.706 0.250 0.713
I 0.794 0.750 0.213
I 0.833 0.250 0.996
I 0.973 0.250 0.396
CELL_PARAMETERS angstrom
10.509 0.000 0.000
0.000 4.733 0.000
0.000 0.000 17.671
```

***

Computed, not measured: crystalline Nd5Pb3 at its relaxed geometry at the GGA-PBE level of DFT. Values from VASP.

Geometry as Quantum ESPRESSO input:
```
&SYSTEM
  ibrav = 0, nat = 16, ntyp = 2
/
ATOMIC_SPECIES
Nd 144.24 Nd.upf
Pb 207.20 Pb.upf
ATOMIC_POSITIONS crystal
Nd 0.000 0.241 0.250
Nd 0.000 0.759 0.750
Nd 0.241 0.000 0.250
Nd 0.241 0.241 0.750
Nd 0.333 0.667 0.000
Nd 0.333 0.667 0.500
Nd 0.667 0.333 0.000
Nd 0.667 0.333 0.500
Nd 0.759 0.000 0.750
Nd 0.759 0.759 0.250
Pb 0.000 0.393 0.750
Pb 0.000 0.607 0.250
Pb 0.393 0.000 0.750
Pb 0.393 0.393 0.250
Pb 0.607 0.000 0.250
Pb 0.607 0.607 0.750
CELL_PARAMETERS angstrom
9.425 0.000 0.000
-4.713 8.162 0.000
0.000 0.000 6.913
```

***

Computed, not measured: crystalline SmCo4B at its relaxed geometry at the GGA-PBE level of DFT. Values from VASP.

Geometry as Quantum ESPRESSO input:
```
&SYSTEM
  ibrav = 0, nat = 12, ntyp = 3
/
ATOMIC_SPECIES
Sm 150.36 Sm.upf
Co 58.93 Co.upf
B 10.81 B.upf
ATOMIC_POSITIONS crystal
Sm 0.000 0.000 0.000
Sm 0.000 0.000 0.500
Co 0.000 0.500 0.211
Co 0.000 0.500 0.789
Co 0.333 0.667 0.500
Co 0.500 0.000 0.211
Co 0.500 0.000 0.789
Co 0.500 0.500 0.211
Co 0.500 0.500 0.789
Co 0.667 0.333 0.500
B 0.333 0.667 0.000
B 0.667 0.333 0.000
CELL_PARAMETERS angstrom
5.054 0.000 0.000
-2.527 4.377 0.000
0.000 0.000 6.822
```

***

Looking at electronic total energy for the records above, in order, we have -3.10 -4.91 -6.89 eV per atom.